[1]
Below is YMg after structural relaxation, with properties calculated at the PBE level.

Cell lengths 3.4170, 3.4170, 11.2418 Å; angles 90.00, 90.00, 120.00 degrees
Closest atoms and distances in Å follow each position.
Atoms (fractional coordinates):
Y: 0.3333 0.6667 0.1291  9 Y 3.42-3.51, 3 Mg 3.46
Y: 0.6667 0.3333 0.8709  9 Y 3.42-3.51, 3 Mg 3.46
Mg: 0.3333 0.6667 0.6180  9 Mg 3.31-3.42, 3 Y 3.46
Mg: 0.6667 0.3333 0.3820  9 Mg 3.31-3.42, 3 Y 3.46

## Properties
E_tot   -15.96 eV per cell
SG   No. 164
Formation energy   44 meV per atom

---

[2]
Below is Ce5Ge2Ir after structural relaxation, with properties calculated at the PBE level.

Cell lengths 11.8841, 8.7032, 7.9911 Å; angles 90.00, 90.00, 90.00 degrees
Closest atoms and distances in Å follow each position.
Atoms (fractional coordinates):
Ce: 0.9995 0.2500 0.0372  4 Ge 3.04-3.05, 1 Ir 3.09
Ce: 0.0005 0.7500 0.9628  4 Ge 3.04-3.05, 1 Ir 3.09
Ce: 0.0751 0.0416 0.6914  2 Ir 2.79-3.01
Ce: 0.0751 0.4584 0.6914  2 Ir 2.79-3.01
Ce: 0.2055 0.7500 0.3502  1 Ir 2.88, 4 Ge 3.13-3.18
Ce: 0.2174 0.2500 0.3283  1 Ir 2.89, 4 Ge 3.10-3.14
Ce: 0.2826 0.7500 0.8283  1 Ir 2.89, 4 Ge 3.10-3.14
Ce: 0.2945 0.2500 0.8502  1 Ir 2.88, 4 Ge 3.13-3.18
Ce: 0.4249 0.5416 0.1914  2 Ir 2.79-3.01
Ce: 0.4249 0.9584 0.1914  2 Ir 2.79-3.01
Ce: 0.4995 0.2500 0.4628  4 Ge 3.04-3.05, 1 Ir 3.09
Ce: 0.5005 0.7500 0.5372  4 Ge 3.04-3.05, 1 Ir 3.09
Ce: 0.5751 0.0416 0.8086  2 Ir 2.79-3.01
Ce: 0.5751 0.4584 0.8086  2 Ir 2.79-3.01
Ce: 0.7055 0.7500 0.1498  1 Ir 2.88, 4 Ge 3.13-3.18
Ce: 0.7174 0.2500 0.1717  1 Ir 2.89, 4 Ge 3.10-3.14
Ce: 0.7826 0.7500 0.6717  1 Ir 2.89, 4 Ge 3.10-3.14
Ce: 0.7945 0.2500 0.6498  1 Ir 2.88, 4 Ge 3.13-3.18
Ce: 0.9249 0.5416 0.3086  2 Ir 2.79-3.01
Ce: 0.9249 0.9584 0.3086  2 Ir 2.79-3.01
Ge: 0.1726 0.5057 0.0586  8 Ce 3.04-3.20
Ge: 0.1726 0.9943 0.0586  8 Ce 3.04-3.20
Ge: 0.3274 0.0057 0.5586  8 Ce 3.04-3.20
Ge: 0.3274 0.4943 0.5586  8 Ce 3.04-3.20
Ge: 0.6726 0.5057 0.4414  8 Ce 3.04-3.20
Ge: 0.6726 0.9943 0.4414  8 Ce 3.04-3.20
Ge: 0.8274 0.0057 0.9414  8 Ce 3.04-3.20
Ge: 0.8274 0.4943 0.9414  8 Ce 3.04-3.20
Ir: 0.0169 0.7500 0.5767  7 Ce 2.79-3.09
Ir: 0.4831 0.2500 0.0767  7 Ce 2.79-3.09
Ir: 0.5169 0.7500 0.9233  7 Ce 2.79-3.09
Ir: 0.9831 0.2500 0.4233  7 Ce 2.79-3.09

## Properties
E_tot   -211.99 eV per cell
SG   No. 62
Formation energy   -656 meV per atom

---

For each record above, in turn, the calculated total moment values are 0.24; 3.92 μB per formula unit.